Here is a relaxed structure of Rb3LuO3 from the Materials Project database. Energies are from r2SCAN.

a b c (Å): 7.1422 7.1422 7.1132
angles (deg): 84.74 84.74 115.62
Closest atoms and distances in Å follow each position.
Fractional coordinates of all 14 atoms:
Rb 0.7975 0.2025 0.5000  2 O 2.80
Rb 0.7391 0.2609 0.0000  4 O 2.89-3.10
Rb 0.6362 0.6362 0.6428  1 O 2.66
Rb 0.3638 0.3638 0.3572  1 O 2.66
Rb 0.2609 0.7391 0.0000  4 O 2.89-3.10
Rb 0.2025 0.7975 0.5000  2 O 2.80
Lu 0.8255 0.8255 0.1483  4 O 2.04-2.13
Lu 0.1745 0.1745 0.8517  4 O 2.04-2.13
O 0.8358 0.5594 0.2678  1 Lu 2.04
O 0.8990 0.8990 0.8462  2 Lu 2.10-2.13
O 0.4406 0.1642 0.7322  1 Lu 2.04
O 0.5594 0.8358 0.2678  1 Lu 2.04
O 0.1010 0.1010 0.1538  2 Lu 2.10-2.13
O 0.1642 0.4406 0.7322  1 Lu 2.04

Calculated values
* SG: C2/m (12)
* crystal system: monoclinic
* total magnetic moment: 0.0 μB per formula unit
* energy of formation from the pure elements: -2.176 eV/atom
* E: -226.05 eV/cell

=====

Here is a relaxed structure of Rb3LuO3 from the Materials Project database. Energies are from r2SCAN.

a b c (Å): 7.2448 7.7186 11.5451
angles (deg): 86.07 90.00 89.99
Closest atoms and distances in Å follow each position.
Fractional coordinates of all 28 atoms:
Rb 0.3361 0.3586 0.0780  4 O 2.77-3.00
Rb 0.6220 0.9337 0.1571  3 O 2.80-2.97
Rb 0.8050 0.3754 0.1898  3 O 2.70-2.99
Rb 0.3050 0.6246 0.3102  3 O 2.70-2.99
Rb 0.1222 0.0663 0.3430  3 O 2.80-2.97
Rb 0.8362 0.6414 0.4220  4 O 2.77-3.00
Rb 0.1638 0.3586 0.5780  4 O 2.77-3.00
Rb 0.8778 0.9337 0.6570  3 O 2.80-2.97
Rb 0.6950 0.3754 0.6898  3 O 2.70-2.99
Rb 0.1950 0.6246 0.8102  3 O 2.70-2.99
Rb 0.3780 0.0663 0.8429  3 O 2.80-2.97
Rb 0.6639 0.6414 0.9220  4 O 2.77-3.00
Lu 0.0880 0.8415 0.0684  4 O 2.03-2.13
Lu 0.5880 0.1585 0.4316  4 O 2.03-2.13
Lu 0.4120 0.8415 0.5684  4 O 2.03-2.13
Lu 0.9120 0.1585 0.9316  4 O 2.03-2.13
O 0.3497 0.7471 0.0463  1 Lu 2.05
O 0.0511 0.1108 0.0921  2 Lu 2.12-2.13
O 0.9450 0.6987 0.1929  1 Lu 2.03
O 0.4449 0.3012 0.3071  1 Lu 2.03
O 0.5512 0.8891 0.4079  2 Lu 2.12-2.13
O 0.8497 0.2530 0.4538  1 Lu 2.05
O 0.1503 0.7470 0.5462  1 Lu 2.05
O 0.4488 0.1109 0.5921  2 Lu 2.12-2.13
O 0.5551 0.6988 0.6929  1 Lu 2.03
O 0.0550 0.3013 0.8071  1 Lu 2.03
O 0.9489 0.8892 0.9079  2 Lu 2.12-2.13
O 0.6503 0.2529 0.9537  1 Lu 2.05

Calculated values
* SG: P2_1/c (14)
* crystal system: monoclinic
* total magnetic moment: 0.0 μB per formula unit
* energy of formation from the pure elements: -2.185 eV/atom
* E: -452.35 eV/cell

=====

Here is a relaxed structure of RbLuW2O8 from the Materials Project database. Energies are from r2SCAN.

a b c (Å): 7.4283 7.4283 7.4655
angles (deg): 62.07 62.07 87.82
Closest atoms and distances in Å follow each position.
Fractional coordinates of all 24 atoms:
Rb 0.1986 0.8014 0.7500  10 O 2.83-3.04
Rb 0.8014 0.1986 0.2500  10 O 2.83-3.04
Lu 0.7742 0.2258 0.7500  6 O 2.19-2.26
Lu 0.2258 0.7742 0.2500  6 O 2.19-2.26
W 0.6986 0.6947 0.7725  4 O 1.80-2.00
W 0.3014 0.3053 0.2275  4 O 1.80-2.00
W 0.3053 0.3014 0.7275  4 O 1.80-2.00
W 0.6947 0.6986 0.2725  4 O 1.80-2.00
O 0.6179 0.7600 0.5599  1 W 1.81
O 0.3821 0.2400 0.4401  1 W 1.81
O 0.2400 0.3821 0.9401  1 W 1.81
O 0.7600 0.6179 0.0599  1 W 1.81
O 0.3689 0.0567 0.8813  1 W 1.83
O 0.6311 0.9433 0.1187  1 W 1.83
O 0.9433 0.6311 0.6187  1 W 1.83
O 0.0567 0.3689 0.3813  1 W 1.83
O 0.5920 0.3704 0.9622  2 W 2.00-2.08, 1 Lu 2.23
O 0.4080 0.6296 0.0378  2 W 2.00-2.08, 1 Lu 2.23
O 0.6296 0.4080 0.5378  2 W 2.00-2.08, 1 Lu 2.23
O 0.3704 0.5920 0.4622  2 W 2.00-2.08, 1 Lu 2.23
O 0.7807 0.9577 0.6981  1 W 1.80
O 0.2193 0.0423 0.3019  1 W 1.80
O 0.0423 0.2193 0.8019  1 W 1.80
O 0.9577 0.7807 0.1981  1 W 1.80

Calculated values
* SG: C2/c (15)
* crystal system: monoclinic
* total magnetic moment: 0.0 μB per formula unit
* energy of formation from the pure elements: -2.767 eV/atom
* E: -471.47 eV/cell

=====

Here is a relaxed structure of LuRhO3 from the Materials Project database. Energies are from r2SCAN.

a b c (Å): 5.1504 5.6607 7.4824
angles (deg): 90.00 90.00 90.00
Closest atoms and distances in Å follow each position.
Fractional coordinates of all 20 atoms:
Lu 0.5311 0.5851 0.2500  4 O 2.15-2.20
Lu 0.9689 0.0851 0.2500  4 O 2.15-2.20
Lu 0.4689 0.4149 0.7500  4 O 2.15-2.20
Lu 0.0311 0.9149 0.7500  4 O 2.15-2.20
Rh 0.0000 0.5000 0.0000  6 O 2.04-2.05
Rh 0.5000 0.0000 0.5000  6 O 2.04-2.05
Rh 0.0000 0.5000 0.5000  6 O 2.04-2.05
Rh 0.5000 0.0000 0.0000  6 O 2.04-2.05
O 0.3554 0.9397 0.2500  2 Rh 2.04, 2 Lu 2.15-2.20
O 0.1446 0.4397 0.2500  2 Rh 2.04, 2 Lu 2.15-2.20
O 0.6446 0.0603 0.7500  2 Rh 2.04, 2 Lu 2.15-2.20
O 0.8554 0.5603 0.7500  2 Rh 2.04, 2 Lu 2.15-2.20
O 0.8262 0.8129 0.0672  2 Rh 2.05, 1 Lu 2.19
O 0.6738 0.3129 0.4328  2 Rh 2.05, 1 Lu 2.19
O 0.1738 0.1871 0.5672  2 Rh 2.05, 1 Lu 2.19
O 0.3262 0.6871 0.9328  2 Rh 2.05, 1 Lu 2.19
O 0.1738 0.1871 0.9328  2 Rh 2.05, 1 Lu 2.19
O 0.3262 0.6871 0.5672  2 Rh 2.05, 1 Lu 2.19
O 0.8262 0.8129 0.4328  2 Rh 2.05, 1 Lu 2.19
O 0.6738 0.3129 0.0672  2 Rh 2.05, 1 Lu 2.19

Calculated values
* SG: Pnma (62)
* crystal system: orthorhombic
* total magnetic moment: 0.0 μB per formula unit
* energy of formation from the pure elements: -2.520 eV/atom
* E: -370.92 eV/cell